Entry 1:
Material: CaAgPb
Method: DFT, meta-GGA r2SCAN
State: relaxed

extended XYZ file:
```
9
Lattice="4.8988 0.0000 0.0000 -2.4494 4.2425 0.0000 0.0000 0.0000 11.1886" Properties=species:S:1:pos:R:3 pbc="T T T"
Ca 0.0000 0.0000 0.0000
Ca 0.0000 0.0000 3.7171
Ca 0.0000 0.0000 7.4369
Ag 0.0000 2.8283 1.5220
Ag 0.0000 2.8283 5.8981
Ag 2.4494 1.4142 9.2981
Pb 0.0000 2.8283 9.3232
Pb 2.4494 1.4142 2.0555
Pb 2.4494 1.4142 5.3820
```

Energy of formation from the pure elements: -0.4671 eV per atom
Total moment: 0.00 μB per formula unit
Space-group type: P3m1
Crystal system: trigonal

Entry 2:
Material: Ca2AgPd2
Method: DFT, meta-GGA r2SCAN
State: relaxed

extended XYZ file:
```
5
Lattice="-2.2439 2.8933 4.2167 2.2439 -2.8933 4.2167 2.2439 2.8933 -4.2167" Properties=species:S:1:pos:R:3 pbc="T T T"
Ca 0.0000 0.0000 1.7053
Ca 0.0000 0.0000 6.7281
Ag 0.0000 2.8933 0.0000
Pd 2.2439 1.3378 0.0000
Pd 0.0000 1.5555 4.2167
```

Energy of formation from the pure elements: -0.6046 eV per atom
Total moment: 0.00 μB per formula unit
Space-group type: Immm
Crystal system: orthorhombic

Entry 3:
Material: CaPmAg2
Method: DFT, meta-GGA r2SCAN
State: relaxed

extended XYZ file:
```
4
Lattice="0.0000 3.6869 3.6869 3.6869 0.0000 3.6869 3.6869 3.6869 0.0000" Properties=species:S:1:pos:R:3 pbc="T T T"
Ca 0.0000 0.0000 0.0000
Pm 3.6869 3.6869 3.6869
Ag 1.8435 1.8435 1.8435
Ag 5.5304 5.5304 5.5304
```

Energy of formation from the pure elements: -0.3036 eV per atom
Total moment: 0.00 μB per formula unit
Space-group type: Fm-3m
Crystal system: cubic

Entry 4:
Material: CaPrAg2
Method: DFT, meta-GGA r2SCAN
State: relaxed

extended XYZ file:
```
4
Lattice="0.0000 3.7209 3.7209 3.7209 0.0000 3.7209 3.7209 3.7209 0.0000" Properties=species:S:1:pos:R:3 pbc="T T T"
Ca 0.0000 0.0000 0.0000
Pr 3.7209 3.7209 3.7209
Ag 1.8605 1.8605 1.8605
Ag 5.5814 5.5814 5.5814
```

Energy of formation from the pure elements: -0.2962 eV per atom
Total moment: 0.00 μB per formula unit
Space-group type: Fm-3m
Crystal system: cubic

Entry 5:
Material: Ca2AgRh
Method: DFT, meta-GGA r2SCAN
State: relaxed

extended XYZ file:
```
4
Lattice="0.0000 3.5330 3.5330 3.5330 0.0000 3.5330 3.5330 3.5330 0.0000" Properties=species:S:1:pos:R:3 pbc="T T T"
Ca 1.7665 1.7665 1.7665
Ca 5.2995 5.2995 5.2995
Ag 0.0000 0.0000 0.0000
Rh 3.5330 3.5330 3.5330
```

Energy of formation from the pure elements: -0.2996 eV per atom
Total moment: 0.00 μB per formula unit
Space-group type: Fm-3m
Crystal system: cubic

Entry 6:
Material: CaAgSb
Method: DFT, meta-GGA r2SCAN
State: relaxed

extended XYZ file:
```
12
Lattice="7.7281 0.0000 0.0000 0.0000 4.6116 0.0000 0.0000 0.0000 8.4339" Properties=species:S:1:pos:R:3 pbc="T T T"
Ca 0.1394 1.1529 1.6447
Ca 3.7246 3.4587 5.8616
Ca 4.0035 1.1529 2.5723
Ca 7.5887 3.4587 6.7893
Ag 1.1111 1.1529 4.7678
Ag 2.7529 3.4587 0.5508
Ag 4.9751 1.1529 7.8831
Ag 6.6170 3.4587 3.6661
Sb 1.8580 3.4587 3.2657
Sb 2.0061 1.1529 7.4827
Sb 5.7220 3.4587 0.9512
Sb 5.8701 1.1529 5.1682
```

Energy of formation from the pure elements: -0.7940 eV per atom
Total moment: 0.00 μB per formula unit
Space-group type: Pnma
Crystal system: orthorhombic